Here is an optimized crystal structure of NaSc2In2PS5O24 from the Materials Project. Energies are from PBE-GGA.

Calculated values
The calculated density is 2.89 Mg/m³. The calculation puts the raw total energy at -690.86 eV per cell. Its energy of formation from the pure elements is -2355.4 meV/atom.

```
data_NaSc2In2PS5O24
_space_group_name_H-M_alt 'P 1'
_space_group_IT_number 1
_cell_length_a 8.848
_cell_length_b 8.852
_cell_length_c 23.251
_cell_angle_alpha 89.92
_cell_angle_beta 89.86
_cell_angle_gamma 60.19
loop_
_space_group_symop_operation_xyz
'x,y,z'
loop_
_atom_site_label
_atom_site_type_symbol
_atom_site_fract_x
_atom_site_fract_y
_atom_site_fract_z
Na1 Na 0.000 0.000 0.000
Na2 Na 0.013 0.000 0.507
Na3 Na 0.340 0.340 0.842
Sc1 Sc 0.007 0.999 0.153
Sc2 Sc 0.009 0.999 0.357
Sc3 Sc 0.339 0.326 0.485
Sc4 Sc 0.342 0.332 0.192
Sc5 Sc 0.668 0.672 0.528
Sc6 Sc 0.675 0.665 0.318
In1 In 0.002 0.999 0.858
In2 In 0.013 0.998 0.654
In3 In 0.341 0.339 0.985
In4 In 0.342 0.327 0.688
In5 In 0.680 0.659 0.822
In6 In 0.681 0.660 0.022
P1 P 0.339 0.041 0.587
P2 P 0.675 0.371 0.922
P3 P 0.969 0.665 0.922
S1 S 0.008 0.709 0.255
S2 S 0.009 0.292 0.755
S3 S 0.050 0.624 0.587
S4 S 0.052 0.330 0.090
S5 S 0.298 0.998 0.255
S6 S 0.304 0.703 0.755
S7 S 0.341 0.626 0.090
S8 S 0.381 0.959 0.922
S9 S 0.385 0.665 0.422
S10 S 0.632 0.040 0.089
S11 S 0.633 0.331 0.587
S12 S 0.676 0.954 0.422
S13 S 0.713 0.999 0.754
S14 S 0.719 0.288 0.255
S15 S 0.962 0.376 0.422
O1 O 0.030 0.801 0.592
O2 O 0.032 0.173 0.098
O3 O 0.038 0.790 0.307
O4 O 0.040 0.181 0.807
O5 O 0.122 0.524 0.640
O6 O 0.136 0.359 0.429
O7 O 0.140 0.352 0.141
O8 O 0.150 0.497 0.926
O9 O 0.159 0.296 0.037
O10 O 0.163 0.536 0.246
O11 O 0.163 0.541 0.536
O12 O 0.168 0.311 0.750
O13 O 0.173 0.023 0.591
O14 O 0.184 0.802 0.098
O15 O 0.187 0.029 0.307
O16 O 0.193 0.782 0.807
O17 O 0.206 0.977 0.917
O18 O 0.208 0.824 0.414
O19 O 0.217 0.968 0.204
O20 O 0.226 0.806 0.702
O21 O 0.305 0.555 0.038
O22 O 0.311 0.160 0.534
O23 O 0.316 0.154 0.246
O24 O 0.320 0.526 0.749
O25 O 0.363 0.134 0.927
O26 O 0.364 0.516 0.141
O27 O 0.366 0.511 0.430
O28 O 0.372 0.114 0.642
O29 O 0.457 0.855 0.975
O30 O 0.464 0.697 0.473
O31 O 0.471 0.843 0.264
O32 O 0.476 0.687 0.762
O33 O 0.485 0.883 0.869
O34 O 0.492 0.641 0.370
O35 O 0.497 0.644 0.084
O36 O 0.500 0.861 0.577
O37 O 0.513 0.347 0.926
O38 O 0.522 0.128 0.429
O39 O 0.524 0.127 0.141
O40 O 0.531 0.363 0.640
O41 O 0.538 0.159 0.750
O42 O 0.545 0.306 0.246
O43 O 0.547 0.305 0.536
O44 O 0.559 0.148 0.037
O45 O 0.642 0.480 0.867
O46 O 0.648 0.868 0.084
O47 O 0.651 0.872 0.370
O48 O 0.655 0.484 0.578
O49 O 0.694 0.844 0.761
O50 O 0.701 0.450 0.977
O51 O 0.701 0.462 0.264
O52 O 0.707 0.844 0.473
O53 O 0.791 0.030 0.806
O54 O 0.800 0.177 0.307
O55 O 0.808 0.171 0.592
O56 O 0.809 0.021 0.097
O57 O 0.818 0.973 0.702
O58 O 0.830 0.208 0.204
O59 O 0.834 0.973 0.414
O60 O 0.843 0.190 0.917
O61 O 0.853 0.455 0.473
O62 O 0.853 0.465 0.761
O63 O 0.853 0.691 0.264
O64 O 0.860 0.699 0.977
O65 O 0.877 0.641 0.578
O66 O 0.879 0.486 0.085
O67 O 0.881 0.483 0.370
O68 O 0.889 0.640 0.867
O69 O 0.978 0.820 0.204
O70 O 0.983 0.199 0.414
O71 O 0.983 0.214 0.703
O72 O 0.993 0.827 0.918
```